V4OF11, optimized geometry, DFT r2SCAN; offset from the most stable computed form = 1 meV/atom; energy relative to the elements = -3.177 eV per atom; SG = No. 5
1.0
2.408 3.679 2.450
-0.995 5.031 -1.408
-14.033 -0.601 9.527
F O V
22 2 8
Cartesian
-1.294 4.052 2.345
-5.927 5.432 4.829
-6.673 2.728 5.721
-12.712 0.480 8.593
-11.376 4.087 8.304
-6.341 0.707 3.933
-1.821 3.362 4.926
0.103 7.557 1.904
-2.330 6.489 1.720
-6.306 7.435 6.665
1.170 5.162 2.515
-13.800 2.908 7.959
-10.249 1.658 8.879
-12.378 2.581 10.350
-6.404 4.835 7.477
-10.866 4.690 5.684
-6.228 3.381 3.106
-8.742 6.292 6.360
-3.310 2.459 1.549
-8.839 3.688 7.201
-9.227 5.667 9.004
-3.791 4.380 3.398
-0.376 5.440 0.241
-3.816 1.699 4.072
-5.512 5.227 2.948
-10.052 5.185 7.339
-7.498 2.255 4.059
-7.072 3.041 7.628
-2.630 2.878 3.273
-0.916 5.049 -1.304
-0.568 5.783 2.053
-12.031 2.294 8.456

NdAu, optimized geometry, DFT r2SCAN; energy relative to the elements = -0.853 eV per atom; SG = No. 221
1.0
-0.949 3.400 1.091
-1.445 -1.398 3.100
3.265 0.370 1.689
Au Nd
1 1
Cartesian
0.000 0.000 0.000
0.435 1.186 2.940